Computed, not measured: a relaxed structure of K2MgH12S2O14 at the PBE level of DFT.

Unit cell a=12.394 b=6.186 c=9.150 alpha=75.62 beta=90.00 gamma=90.00
Fractional coordinates of all 62 atoms:
1 K 0.347 0.653 0.132
2 K 0.847 0.347 0.368
3 K 0.153 0.653 0.632
4 K 0.653 0.347 0.868
5 H 0.372 0.906 0.746
6 H 0.189 0.000 0.855
7 H 0.689 0.000 0.645
8 H 0.100 0.070 0.727
9 H 0.063 0.338 0.106
10 H 0.600 0.930 0.773
11 H 0.900 0.930 0.273
12 H 0.854 0.667 0.026
13 H 0.146 0.333 0.974
14 H 0.909 0.328 0.782
15 H 0.091 0.672 0.218
16 H 0.400 0.070 0.227
17 H 0.563 0.662 0.394
18 H 0.872 0.094 0.754
19 H 0.811 0.000 0.145
20 H 0.128 0.906 0.246
21 H 0.437 0.338 0.606
22 H 0.311 0.000 0.355
23 H 0.937 0.662 0.894
24 H 0.628 0.094 0.254
25 H 0.354 0.333 0.474
26 H 0.591 0.328 0.282
27 H 0.646 0.667 0.526
28 H 0.409 0.672 0.718
29 O 0.937 0.618 0.716
30 O 0.887 0.031 0.171
31 O 0.563 0.618 0.216
32 O 0.733 0.578 0.094
33 O 0.571 0.706 0.491
34 O 0.390 0.828 0.667
35 O 0.613 0.031 0.671
36 O 0.063 0.382 0.284
37 O 0.429 0.294 0.509
38 O 0.610 0.172 0.333
39 O 0.929 0.706 0.991
40 O 0.675 0.950 0.113
41 O 0.071 0.294 0.009
42 O 0.387 0.969 0.329
43 O 0.580 0.760 0.945
44 O 0.325 0.050 0.887
45 O 0.825 0.950 0.613
46 O 0.110 0.828 0.167
47 O 0.113 0.969 0.829
48 O 0.437 0.382 0.784
49 O 0.767 0.578 0.594
50 O 0.233 0.422 0.406
51 O 0.080 0.240 0.555
52 O 0.920 0.760 0.445
53 O 0.267 0.422 0.906
54 O 0.890 0.172 0.833
55 O 0.175 0.050 0.387
56 O 0.420 0.240 0.055
57 S 0.138 0.271 0.409
58 S 0.638 0.729 0.091
59 S 0.862 0.729 0.591
60 S 0.362 0.271 0.909
61 Mg 0.500 0.000 0.500
62 Mg 0.000 0.000 0.000

Output
Raw total energy, eV/atom: -5.361
DFT formation energy, eV per atom: -1.73



Computed, not measured: a relaxed structure of K2MgH8S2O12 at the PBE level of DFT.

Unit cell a=7.686 b=7.686 c=10.041 alpha=85.90 beta=85.90 gamma=78.78
Fractional coordinates of all 50 atoms:
1 O 0.681 0.681 0.905
2 O 0.219 0.471 0.884
3 O 0.335 0.330 0.439
4 O 0.217 0.783 0.000
5 O 0.191 0.170 0.621
6 O 0.171 0.171 0.941
7 O 0.319 0.319 0.095
8 O 0.670 0.665 0.561
9 O 0.964 0.718 0.595
10 O 0.781 0.529 0.116
11 O 0.307 0.614 0.641
12 O 0.615 0.306 0.642
13 O 0.783 0.217 0.000
14 O 0.036 0.285 0.418
15 O 0.829 0.829 0.059
16 O 0.984 0.989 0.794
17 O 0.694 0.385 0.358
18 O 0.715 0.964 0.582
19 O 0.830 0.809 0.379
20 O 0.529 0.781 0.116
21 O 0.386 0.693 0.359
22 O 0.011 0.016 0.206
23 O 0.471 0.219 0.884
24 O 0.282 0.036 0.405
25 H 0.055 0.051 0.727
26 H 0.219 0.667 0.962
27 H 0.949 0.945 0.273
28 H 0.084 0.076 0.258
29 H 0.924 0.916 0.742
30 H 0.186 0.657 0.608
31 H 0.453 0.714 0.273
32 H 0.343 0.814 0.392
33 H 0.286 0.547 0.727
34 H 0.333 0.781 0.038
35 H 0.814 0.343 0.393
36 H 0.667 0.220 0.962
37 H 0.780 0.333 0.038
38 H 0.547 0.284 0.727
39 H 0.716 0.453 0.273
40 H 0.657 0.186 0.607
41 K 0.436 0.904 0.751
42 K 0.905 0.429 0.753
43 K 0.096 0.564 0.249
44 K 0.571 0.095 0.247
45 Mg 0.501 0.499 0.500
46 Mg 0.000 0.000 0.000
47 S 0.796 0.790 0.527
48 S 0.210 0.204 0.473
49 S 0.295 0.295 0.954
50 S 0.705 0.705 0.046

Output
Raw total energy, eV/atom: -5.452
DFT formation energy, eV per atom: -1.84



Computed, not measured: a relaxed structure of K2MgH8S2O12 at the PBE level of DFT.

Unit cell a=12.126 b=12.126 c=11.881 alpha=65.53 beta=65.53 gamma=46.92
Fractional coordinates of all 100 atoms:
1 S 0.480 0.001 0.800
2 S 0.273 0.772 0.522
3 S 0.520 0.999 0.200
4 S 0.727 0.228 0.478
5 S 0.001 0.480 0.300
6 S 0.772 0.273 0.022
7 S 0.999 0.520 0.700
8 S 0.228 0.727 0.978
9 K 0.861 0.895 0.204
10 K 0.382 0.361 0.210
11 K 0.139 0.105 0.796
12 K 0.105 0.139 0.296
13 K 0.618 0.639 0.790
14 K 0.639 0.618 0.290
15 K 0.895 0.861 0.704
16 K 0.361 0.382 0.710
17 H 0.992 0.048 0.174
18 H 0.251 0.476 0.970
19 H 0.405 0.860 0.041
20 H 0.595 0.140 0.959
21 H 0.048 0.992 0.674
22 H 0.747 0.985 0.468
23 H 0.952 0.008 0.326
24 H 0.177 0.216 0.972
25 H 0.860 0.405 0.541
26 H 0.106 0.621 0.333
27 H 0.015 0.253 0.032
28 H 0.749 0.524 0.030
29 H 0.549 0.489 0.174
30 H 0.621 0.106 0.833
31 H 0.692 0.701 0.478
32 H 0.299 0.308 0.022
33 H 0.823 0.784 0.028
34 H 0.894 0.379 0.667
35 H 0.308 0.299 0.522
36 H 0.379 0.894 0.167
37 H 0.476 0.251 0.470
38 H 0.784 0.823 0.528
39 H 0.008 0.952 0.826
40 H 0.216 0.177 0.472
41 H 0.489 0.549 0.674
42 H 0.451 0.511 0.826
43 H 0.140 0.595 0.459
44 H 0.524 0.749 0.530
45 H 0.985 0.747 0.968
46 H 0.511 0.451 0.326
47 H 0.701 0.692 0.978
48 H 0.253 0.015 0.532
49 O 0.318 0.565 0.964
50 O 0.179 0.935 0.537
51 O 0.273 0.082 0.535
52 O 0.647 0.144 0.869
53 O 0.409 0.229 0.471
54 O 0.302 0.795 0.882
55 O 0.220 0.723 0.108
56 O 0.856 0.353 0.631
57 O 0.682 0.435 0.036
58 O 0.935 0.179 0.037
59 O 0.918 0.727 0.965
60 O 0.723 0.220 0.608
61 O 0.821 0.065 0.463
62 O 0.957 0.416 0.750
63 O 0.032 0.529 0.804
64 O 0.858 0.539 0.401
65 O 0.205 0.698 0.618
66 O 0.677 0.868 0.150
67 O 0.144 0.647 0.369
68 O 0.470 0.530 0.250
69 O 0.082 0.273 0.035
70 O 0.771 0.591 0.029
71 O 0.065 0.821 0.963
72 O 0.591 0.771 0.529
73 O 0.727 0.918 0.465
74 O 0.584 0.043 0.750
75 O 0.229 0.409 0.971
76 O 0.032 0.968 0.250
77 O 0.435 0.682 0.536
78 O 0.416 0.957 0.250
79 O 0.565 0.318 0.464
80 O 0.795 0.302 0.382
81 O 0.353 0.856 0.131
82 O 0.529 0.032 0.304
83 O 0.277 0.780 0.392
84 O 0.530 0.470 0.750
85 O 0.539 0.858 0.901
86 O 0.868 0.677 0.650
87 O 0.323 0.132 0.850
88 O 0.968 0.471 0.196
89 O 0.780 0.277 0.892
90 O 0.043 0.584 0.250
91 O 0.968 0.032 0.750
92 O 0.471 0.968 0.696
93 O 0.132 0.323 0.350
94 O 0.698 0.205 0.118
95 O 0.142 0.461 0.599
96 O 0.461 0.142 0.099
97 Mg 0.749 0.251 0.750
98 Mg 0.500 0.000 0.500
99 Mg 0.251 0.749 0.250
100 Mg 0.000 0.500 0.000

Output
Raw total energy, eV/atom: -5.453
DFT formation energy, eV per atom: -1.84



Computed, not measured: a relaxed structure of K2MgH12Se2O14 at the PBE level of DFT.

Unit cell a=12.582 b=6.320 c=9.321 alpha=75.78 beta=90.00 gamma=90.00
Fractional coordinates of all 62 atoms:
1 K 0.841 0.341 0.365
2 K 0.159 0.659 0.635
3 K 0.659 0.341 0.865
4 K 0.341 0.659 0.135
5 O 0.108 0.832 0.160
6 O 0.575 0.758 0.927
7 O 0.741 0.557 0.095
8 O 0.392 0.958 0.336
9 O 0.821 0.971 0.612
10 O 0.108 0.958 0.836
11 O 0.053 0.391 0.275
12 O 0.075 0.242 0.573
13 O 0.892 0.042 0.164
14 O 0.425 0.242 0.073
15 O 0.241 0.443 0.405
16 O 0.179 0.029 0.388
17 O 0.447 0.391 0.775
18 O 0.321 0.029 0.888
19 O 0.567 0.706 0.495
20 O 0.433 0.294 0.505
21 O 0.947 0.609 0.725
22 O 0.553 0.609 0.225
23 O 0.892 0.168 0.840
24 O 0.679 0.971 0.112
25 O 0.067 0.294 0.005
26 O 0.925 0.758 0.427
27 O 0.608 0.042 0.664
28 O 0.392 0.832 0.660
29 O 0.259 0.443 0.905
30 O 0.933 0.706 0.995
31 O 0.759 0.557 0.595
32 O 0.608 0.168 0.340
33 H 0.084 0.681 0.207
34 H 0.360 0.343 0.470
35 H 0.416 0.681 0.707
36 H 0.682 0.014 0.637
37 H 0.640 0.657 0.530
38 H 0.818 0.014 0.137
39 H 0.596 0.939 0.764
40 H 0.404 0.061 0.236
41 H 0.055 0.337 0.099
42 H 0.625 0.096 0.260
43 H 0.140 0.343 0.970
44 H 0.860 0.657 0.030
45 H 0.555 0.663 0.401
46 H 0.318 0.986 0.363
47 H 0.375 0.904 0.740
48 H 0.875 0.096 0.760
49 H 0.584 0.319 0.293
50 H 0.125 0.904 0.240
51 H 0.904 0.939 0.264
52 H 0.945 0.663 0.901
53 H 0.182 0.986 0.863
54 H 0.096 0.061 0.736
55 H 0.916 0.319 0.793
56 H 0.445 0.337 0.599
57 Mg 0.000 0.000 0.000
58 Mg 0.500 0.000 0.500
59 Se 0.363 0.273 0.911
60 Se 0.637 0.727 0.089
61 Se 0.863 0.727 0.589
62 Se 0.137 0.273 0.411

Output
Raw total energy, eV/atom: -5.114
DFT formation energy, eV per atom: -1.53



Question: Which value of raw total energy does entry 3 give?
Answer: -5.453 eV/atom